# Rb2ScAuCl6 (PBE, optimized geometry)
data_Rb2ScAuCl6
_space_group_name_H-M_alt 'F m -3 m'
_space_group_IT_number 225
_space_group_name_Hall '-F 4 2 3'
_cell_length_a 10.5109
_cell_length_b 10.5109
_cell_length_c 10.5109
_cell_angle_alpha 90.00
_cell_angle_beta 90.00
_cell_angle_gamma 90.00
loop_
_atom_site_label
_atom_site_fract_x
_atom_site_fract_y
_atom_site_fract_z
Rb1 0.2500 0.2500 0.2500
Sc1 0.0000 0.0000 0.0000
Au1 0.0000 0.0000 0.5000
Cl1 0.0000 0.0000 0.2385
# * size of the total moment: 0.001 μB per formula unit
# * energy relative to the elements: -1.98 eV/atom

***

# Rb2TlAuCl6 (PBE, optimized geometry)
data_Rb2TlAuCl6
_space_group_name_H-M_alt 'F m -3 m'
_space_group_IT_number 225
_space_group_name_Hall '-F 4 2 3'
_cell_length_a 10.6818
_cell_length_b 10.6818
_cell_length_c 10.6818
_cell_angle_alpha 90.00
_cell_angle_beta 90.00
_cell_angle_gamma 90.00
loop_
_atom_site_label
_atom_site_fract_x
_atom_site_fract_y
_atom_site_fract_z
Rb1 0.2500 0.2500 0.2500
Tl1 0.0000 0.0000 0.0000
Au1 0.0000 0.0000 0.5000
Cl1 0.0000 0.0000 0.2556
# * energy relative to the elements: -1.46 eV/atom